{"formula": "Ac2IrPd", "functional": "r²SCAN", "state": "relaxed", "e_tot_ev_per_atom": -53.815, "rho_g_cm3": 11.93, "lattice": [[3.498, -3.961, -0.275], [-1.202, -4.411, -2.665], [2.430, -1.071, -4.577]], "species": ["Ir", "Ac", "Ac", "Pd"], "frac_coords": [[0.250, 0.250, 0.250], [0.000, 0.000, 0.000], [0.500, 0.500, 0.500], [0.750, 0.750, 0.750]]}

=====

{"formula": "ThMg2", "functional": "r²SCAN", "state": "relaxed", "e_tot_ev_per_atom": -27.261, "rho_g_cm3": 5.96, "lattice": [[1.523, -0.237, 5.848], [5.743, -1.035, 1.590], [3.307, 4.434, 2.445]], "species": ["Th", "Th", "Mg", "Mg", "Mg", "Mg"], "frac_coords": [[0.875, 0.875, 0.875], [0.125, 0.125, 0.125], [0.000, 0.500, 0.500], [0.500, 0.500, 0.500], [0.500, 0.500, 0.000], [0.500, 0.000, 0.500]]}

=====

{"formula": "NdBr3", "functional": "r²SCAN", "state": "relaxed", "e_tot_ev_per_atom": -19.481, "rho_g_cm3": 5.09, "lattice": [[4.130, 0.000, 0.000], [-2.065, 6.564, 0.000], [0.000, 0.000, 9.240]], "species": ["Br", "Br", "Br", "Br", "Br", "Br", "Nd", "Nd"], "frac_coords": [[0.352, 0.703, 0.066], [0.352, 0.703, 0.434], [0.648, 0.297, 0.934], [0.086, 0.171, 0.250], [0.914, 0.829, 0.750], [0.648, 0.297, 0.566], [0.258, 0.515, 0.750], [0.742, 0.485, 0.250]]}

=====

{"formula": "TbAl10Ru2", "functional": "r²SCAN", "state": "relaxed", "e_tot_ev_per_atom": -12.065, "rho_g_cm3": 5.01, "lattice": [[-1.450, 3.845, 5.430], [0.149, -5.989, 3.239], [8.872, 1.086, 1.600]], "species": ["Ru", "Ru", "Ru", "Ru", "Al", "Al", "Al", "Al", "Al", "Al", "Al", "Al", "Al", "Al", "Al", "Al", "Al", "Al", "Al", "Al", "Al", "Al", "Al", "Al", "Tb", "Tb"], "frac_coords": [[0.500, 0.000, 0.000], [0.000, 0.500, 0.000], [0.000, 0.500, 0.500], [0.500, 0.000, 0.500], [0.158, 0.842, 0.899], [0.158, 0.842, 0.601], [0.377, 0.623, 0.450], [0.860, 0.589, 0.750], [0.623, 0.377, 0.550], [0.781, 0.519, 0.250], [0.377, 0.623, 0.050], [0.773, 0.773, 0.000], [0.519, 0.781, 0.750], [0.227, 0.227, 0.500], [0.623, 0.377, 0.950], [0.411, 0.140, 0.750], [0.842, 0.158, 0.101], [0.773, 0.773, 0.500], [0.842, 0.158, 0.399], [0.219, 0.481, 0.750], [0.589, 0.860, 0.250], [0.481, 0.219, 0.250], [0.227, 0.227, 0.000], [0.140, 0.411, 0.250], [0.873, 0.127, 0.750], [0.127, 0.873, 0.250]]}

=====

{"formula": "GeO2", "functional": "r²SCAN", "state": "relaxed", "e_tot_ev_per_atom": -10.369, "rho_g_cm3": 4.26, "lattice": [[4.987, 0.000, 0.000], [-2.493, 4.319, 0.000], [0.000, 0.000, 5.675]], "species": ["O", "O", "O", "O", "O", "O", "Ge", "Ge", "Ge"], "frac_coords": [[0.396, 0.305, 0.244], [0.305, 0.396, 0.756], [0.695, 0.091, 0.577], [0.091, 0.695, 0.423], [0.604, 0.909, 0.089], [0.909, 0.604, 0.911], [0.449, 0.000, 0.333], [0.551, 0.551, 0.000], [0.000, 0.449, 0.667]]}

=====

{"formula": "LiZr2S4", "functional": "r²SCAN", "state": "relaxed", "e_tot_ev_per_atom": -13.218, "rho_g_cm3": 3.72, "lattice": [[3.643, 0.000, 0.000], [0.000, 6.287, 0.002], [0.000, 2.064, 6.194]], "species": ["Zr", "Zr", "Li", "S", "S", "S", "S"], "frac_coords": [[0.500, 0.500, 0.000], [0.000, 0.000, 0.000], [0.000, 0.500, 0.500], [0.000, 0.746, 0.758], [0.500, 0.752, 0.246], [0.500, 0.248, 0.754], [0.000, 0.254, 0.242]]}

=====

{"formula": "NbS2Br2", "functional": "r²SCAN", "state": "relaxed", "e_tot_ev_per_atom": -14.446, "rho_g_cm3": 4.04, "lattice": [[1.436, -5.851, 2.750], [-1.604, -5.588, -3.183], [7.327, -1.732, -0.663]], "species": ["Nb", "Nb", "Br", "Br", "Br", "Br", "S", "S", "S", "S"], "frac_coords": [[0.126, 0.125, 0.000], [0.874, 0.875, 0.000], [0.762, 0.580, 0.227], [0.646, 0.826, 0.773], [0.354, 0.174, 0.227], [0.238, 0.420, 0.773], [0.861, 0.054, 0.299], [0.798, 0.239, 0.872], [0.139, 0.946, 0.701], [0.202, 0.761, 0.128]]}

=====

{"formula": "GdCrTeO6", "functional": "r²SCAN", "state": "relaxed", "e_tot_ev_per_atom": -15.652, "rho_g_cm3": 6.37, "lattice": [[-1.659, 2.934, -3.875], [3.286, 1.919, 3.448], [7.589, -3.034, -5.548]], "species": ["Cr", "Cr", "O", "O", "O", "O", "O", "O", "O", "O", "O", "O", "O", "O", "Te", "Te", "Gd", "Gd"], "frac_coords": [[0.667, 0.333, 0.750], [0.333, 0.667, 0.250], [0.369, 0.009, 0.358], [0.009, 0.369, 0.858], [0.991, 0.360, 0.358], [0.631, 0.991, 0.642], [0.360, 0.991, 0.858], [0.369, 0.360, 0.142], [0.640, 0.009, 0.142], [0.009, 0.640, 0.642], [0.631, 0.640, 0.858], [0.360, 0.369, 0.642], [0.991, 0.631, 0.142], [0.640, 0.631, 0.358], [0.333, 0.667, 0.750], [0.667, 0.333, 0.250], [0.000, 0.000, 0.500], [0.000, 0.000, 0.000]]}